Entry 1:
## Ca2B2O5 (GGA-PBE)

Data for an optimized crystal structure of Ca2B2O5.

a = 6.404 Å, b = 3.593 Å, c = 19.429 Å
α = 87.51°, β = 90.00°, γ = 90.00°
Positions (direct):
Ca 0.450 0.712 0.710
Ca 0.950 0.288 0.790
Ca 0.550 0.288 0.290
Ca 0.050 0.712 0.210
Ca 0.695 0.247 0.562
Ca 0.195 0.753 0.938
Ca 0.305 0.753 0.438
Ca 0.805 0.247 0.062
B 0.967 0.837 0.657
B 0.467 0.163 0.843
B 0.033 0.163 0.343
B 0.533 0.837 0.157
B 0.752 0.823 0.918
B 0.252 0.177 0.582
B 0.248 0.177 0.082
B 0.748 0.823 0.418
O 0.306 0.244 0.515
O 0.806 0.756 0.985
O 0.694 0.756 0.485
O 0.194 0.244 0.015
O 0.392 0.232 0.634
O 0.892 0.768 0.866
O 0.608 0.768 0.366
O 0.108 0.232 0.134
O 0.767 0.714 0.648
O 0.267 0.286 0.852
O 0.233 0.286 0.352
O 0.733 0.714 0.148
O 0.050 0.032 0.597
O 0.550 0.968 0.903
O 0.950 0.968 0.403
O 0.450 0.032 0.097
O 0.076 0.796 0.717
O 0.576 0.204 0.783
O 0.924 0.204 0.283
O 0.424 0.796 0.217

Summary:
Uncorrected energy in eV per atom: -7.540
Space-group type: No. 14
Energy above the most stable polymorph in this dataset in eV/f.u.: 0.00

***

Entry 2:
## K8Nd3Si12O33 (GGA-PBE)

Data for an optimized crystal structure of K8Nd3Si12O33.

a = 7.023 Å, b = 11.611 Å, c = 11.836 Å
α = 87.53°, β = 87.95°, γ = 79.25°
Positions (direct):
K 0.988 0.665 0.994
K 0.999 0.331 0.003
K 0.832 0.186 0.726
K 0.156 0.805 0.257
K 0.264 0.587 0.521
K 0.746 0.370 0.477
K 0.198 0.862 0.730
K 0.791 0.125 0.291
Nd 0.478 0.484 0.831
Nd 0.514 0.510 0.168
Nd 0.993 0.001 0.001
Si 0.296 0.321 0.617
Si 0.694 0.674 0.382
Si 0.978 0.480 0.747
Si 0.013 0.517 0.252
Si 0.343 0.135 0.813
Si 0.648 0.861 0.185
Si 0.667 0.902 0.807
Si 0.325 0.093 0.193
Si 0.537 0.233 0.010
Si 0.451 0.763 0.989
Si 0.679 0.696 0.653
Si 0.309 0.301 0.344
O 0.470 0.003 0.791
O 0.524 0.993 0.208
O 0.489 0.652 0.707
O 0.495 0.347 0.289
O 0.459 0.392 0.653
O 0.526 0.608 0.346
O 0.809 0.419 0.805
O 0.182 0.580 0.195
O 0.693 0.829 0.690
O 0.297 0.167 0.310
O 0.888 0.611 0.687
O 0.101 0.385 0.309
O 0.481 0.214 0.876
O 0.507 0.784 0.123
O 0.237 0.833 0.962
O 0.751 0.163 0.038
O 0.300 0.195 0.686
O 0.692 0.800 0.312
O 0.856 0.955 0.831
O 0.140 0.035 0.171
O 0.623 0.810 0.910
O 0.364 0.186 0.089
O 0.076 0.402 0.635
O 0.916 0.594 0.365
O 0.475 0.621 0.982
O 0.514 0.376 0.016
O 0.144 0.126 0.880
O 0.848 0.868 0.118
O 0.672 0.706 0.515
O 0.314 0.296 0.482
O 0.141 0.497 0.834
O 0.848 0.505 0.163
O 0.815 0.145 0.509

Summary:
Uncorrected energy in eV per atom: -7.195
Space-group type: No. 1

***

Entry 3:
## K3SbPCO7 (GGA-PBE)

Data for an optimized crystal structure of K3SbPCO7.

a = 7.143 Å, b = 6.035 Å, c = 10.326 Å
α = 84.48°, β = 90.00°, γ = 90.00°
Positions (direct):
K 0.750 0.240 0.922
K 0.001 0.779 0.730
K 0.499 0.779 0.730
K 0.501 0.221 0.270
K 0.999 0.221 0.270
K 0.250 0.760 0.078
Sb 0.250 0.280 0.647
Sb 0.750 0.720 0.353
P 0.750 0.328 0.593
P 0.250 0.672 0.407
C 0.250 0.276 0.944
C 0.750 0.724 0.056
O 0.750 0.773 0.931
O 0.250 0.111 0.868
O 0.250 0.480 0.892
O 0.925 0.256 0.680
O 0.575 0.256 0.680
O 0.750 0.592 0.570
O 0.250 0.774 0.537
O 0.750 0.226 0.463
O 0.250 0.408 0.430
O 0.425 0.744 0.320
O 0.075 0.744 0.320
O 0.750 0.520 0.108
O 0.750 0.889 0.132
O 0.250 0.227 0.069

Summary:
Uncorrected energy in eV per atom: -6.144
Space-group type: No. 11

***

Entry 4:
## Na7Hf2Ti2Si5PO24 (GGA-PBE)

Data for an optimized crystal structure of Na7Hf2Ti2Si5PO24.

a = 9.044 Å, b = 9.061 Å, c = 22.414 Å
α = 89.95°, β = 89.93°, γ = 119.98°
Positions (direct):
Na 0.636 0.002 0.250
Na 0.364 0.366 0.250
Na 0.000 0.633 0.250
Na 0.631 0.635 0.751
Na 0.002 0.366 0.751
Na 0.365 0.999 0.751
Na 0.302 0.336 0.582
Na 0.033 0.698 0.583
Na 0.666 0.967 0.583
Na 0.298 0.965 0.082
Na 0.038 0.338 0.084
Na 0.966 0.666 0.918
Na 0.336 0.299 0.918
Na 0.331 0.032 0.417
Na 0.701 0.666 0.417
Na 0.998 0.005 0.500
Na 0.987 0.994 0.000
Na 0.667 0.324 0.836
Na 0.676 0.331 0.332
Na 0.342 0.666 0.166
Na 0.334 0.665 0.667
Hf 0.997 0.002 0.352
Hf 0.998 0.003 0.855
Hf 0.000 0.000 0.649
Hf 0.998 0.996 0.147
Hf 0.667 0.334 0.685
Hf 0.674 0.332 0.479
Ti 0.668 0.343 0.185
Ti 0.667 0.328 0.982
Ti 0.328 0.659 0.019
Ti 0.334 0.673 0.519
Ti 0.329 0.671 0.314
Ti 0.328 0.671 0.815
Si 0.298 0.002 0.250
Si 0.703 0.704 0.251
Si 0.000 0.297 0.248
Si 0.295 0.299 0.752
Si 0.002 0.706 0.752
Si 0.702 0.996 0.751
Si 0.966 0.336 0.583
Si 0.373 0.038 0.581
Si 0.663 0.627 0.581
Si 0.953 0.621 0.081
Si 0.384 0.341 0.082
Si 0.040 0.378 0.918
Si 0.341 0.957 0.919
Si 0.620 0.953 0.416
Si 0.045 0.665 0.416
P 0.663 0.045 0.083
P 0.616 0.664 0.917
P 0.332 0.383 0.417
O 0.213 0.040 0.308
O 0.827 0.786 0.309
O 0.960 0.166 0.305
O 0.207 0.172 0.809
O 0.966 0.793 0.810
O 0.833 0.035 0.806
O 0.783 0.959 0.691
O 0.174 0.214 0.693
O 0.040 0.826 0.693
O 0.793 0.834 0.195
O 0.039 0.213 0.190
O 0.172 0.961 0.192
O 0.884 0.375 0.642
O 0.493 0.120 0.640
O 0.628 0.507 0.641
O 0.864 0.499 0.140
O 0.635 0.127 0.140
O 0.499 0.359 0.141
O 0.476 0.306 0.025
O 0.834 0.521 0.024
O 0.694 0.164 0.029
O 0.458 0.160 0.524
O 0.699 0.540 0.524
O 0.835 0.297 0.528
O 0.525 0.688 0.972
O 0.167 0.473 0.975
O 0.310 0.831 0.976
O 0.527 0.833 0.475
O 0.310 0.466 0.473
O 0.167 0.691 0.474
O 0.141 0.643 0.357
O 0.499 0.856 0.358
O 0.358 0.492 0.361
O 0.136 0.501 0.859
O 0.362 0.863 0.859
O 0.508 0.637 0.861
O 0.035 0.842 0.413
O 0.805 0.964 0.413
O 0.175 0.199 0.412
O 0.034 0.195 0.914
O 0.165 0.970 0.914
O 0.800 0.821 0.914
O 0.983 0.166 0.588
O 0.183 0.017 0.587
O 0.834 0.816 0.587
O 0.982 0.813 0.086
O 0.830 0.036 0.087
O 0.193 0.169 0.087
O 0.683 0.166 0.746
O 0.482 0.315 0.746
O 0.833 0.517 0.746
O 0.687 0.516 0.242
O 0.829 0.315 0.242
O 0.487 0.169 0.242
O 0.634 0.502 0.923
O 0.856 0.369 0.924
O 0.505 0.151 0.924
O 0.625 0.136 0.419
O 0.494 0.365 0.421
O 0.852 0.503 0.418
O 0.358 0.508 0.076
O 0.145 0.638 0.076
O 0.502 0.870 0.076
O 0.355 0.848 0.575
O 0.492 0.644 0.576
O 0.154 0.506 0.575
O 0.315 0.830 0.257
O 0.513 0.681 0.258
O 0.170 0.484 0.257
O 0.314 0.486 0.759
O 0.174 0.688 0.758
O 0.514 0.825 0.759

Summary:
Uncorrected energy in eV per atom: -7.489
Space-group type: No. 1

***

Entry 5:
## Ga2CuAgSe4 (GGA-PBE)

Data for an optimized crystal structure of Ga2CuAgSe4.

a = 6.977 Å, b = 6.977 Å, c = 6.977 Å
α = 130.52°, β = 130.52°, γ = 72.57°
Positions (direct):
Ga 0.750 0.250 0.500
Ga 0.500 0.500 0.000
Cu 0.000 0.000 0.000
Ag 0.250 0.750 0.500
Se 0.646 0.619 0.501
Se 0.117 0.145 0.499
Se 0.855 0.354 0.973
Se 0.381 0.883 0.027

Summary:
Uncorrected energy in eV per atom: -3.827
Space-group type: No. 82

***

Entry 6:
## KLaTiSnO6 (GGA-PBE)

Data for an optimized crystal structure of KLaTiSnO6.

a = 5.682 Å, b = 5.682 Å, c = 5.682 Å
α = 60.00°, β = 60.00°, γ = 60.00°
Positions (direct):
K 0.250 0.250 0.250
La 0.750 0.750 0.750
Ti 0.500 0.500 0.500
Sn 0.000 0.000 0.000
O 0.744 0.256 0.256
O 0.256 0.744 0.744
O 0.744 0.256 0.744
O 0.256 0.744 0.256
O 0.744 0.744 0.256
O 0.256 0.256 0.744

Summary:
Uncorrected energy in eV per atom: -7.269
Space-group type: No. 216